# As2HPbF13 PBE optimized geometry
# size of the total moment = 0.009 μB/f.u.
# V = 14.4 A^3/atom
# ΔH_f (0 K) = -2.423 eV per atom
# total energy after the MP2020 corrections = -660.03 eV/cell
data_As2HPbF13
_cell_length_a 10.955
_cell_length_b 15.993
_cell_length_c 11.175
_cell_angle_alpha 90.00
_cell_angle_beta 90.00
_cell_angle_gamma 90.00
_space_group_name_H-M_alt 'P b c n'
_space_group_IT_number 60
_space_group_name_Hall '-P 2n 2ab'
loop_
_atom_site_label
_atom_site_fract_x
_atom_site_fract_y
_atom_site_fract_z
As1 0.000 0.156 0.250
As2 0.000 0.255 0.750
As3 0.183 0.426 0.081
H1 0.032 0.085 0.979
Pb1 0.196 0.344 0.457
F1 0.000 0.146 0.750
F2 0.000 0.363 0.750
F3 0.020 0.411 0.074
F4 0.055 0.255 0.597
F5 0.073 0.081 0.339
F6 0.074 0.237 0.334
F7 0.105 0.074 0.936
F8 0.124 0.159 0.147
F9 0.154 0.253 0.804
F10 0.158 0.467 0.622
F11 0.159 0.060 0.595
F12 0.174 0.398 0.236
F13 0.183 0.458 0.931
F14 0.203 0.320 0.041